# Li3Ag2F5, relaxed, DFT PBE-GGA
data_Li3Ag2F5
_chemical_formula_sum 'Li12 Ag8 F20'
_space_group_name_H-M_alt 'P 1'
_space_group_IT_number 1
_cell_length_a 5.7575
_cell_length_b 8.1644
_cell_length_c 11.9492
_cell_angle_alpha 90.15
_cell_angle_beta 97.85
_cell_angle_gamma 98.98
loop_
_space_group_symop_operation_xyz
'x,y,z'
loop_
_atom_site_label
_atom_site_type_symbol
_atom_site_fract_x
_atom_site_fract_y
_atom_site_fract_z
Li1 Li 0.0000 0.0000 0.0000
Li2 Li 0.0017 0.3874 0.9409
Li3 Li 0.0651 0.4126 0.4376
Li4 Li 0.3442 0.1372 0.6409
Li5 Li 0.3542 0.1665 0.2664
Li6 Li 0.4289 0.8517 0.8346
Li7 Li 0.4383 0.4322 0.7923
Li8 Li 0.4523 0.7275 0.6329
Li9 Li 0.5906 0.5207 0.2390
Li10 Li 0.7956 0.6490 0.9879
Li11 Li 0.9253 0.0872 0.4430
Li12 Li 0.9378 0.7001 0.4728
Ag1 Ag 0.3999 0.8311 0.3518
Ag2 Ag 0.4010 0.8105 0.0933
Ag3 Ag 0.4986 0.1816 0.9963
Ag4 Ag 0.5333 0.4238 0.4891
Ag5 Ag 0.8044 0.9846 0.2194
Ag6 Ag 0.8783 0.0774 0.7484
Ag7 Ag 0.9503 0.5108 0.7017
Ag8 Ag 0.9986 0.4157 0.1837
F1 F 0.0094 0.8907 0.3966
F2 F 0.0542 0.1917 0.5785
F3 F 0.1084 0.5887 0.0248
F4 F 0.1172 0.2350 0.3480
F5 F 0.1528 0.3054 0.8278
F6 F 0.1813 0.9917 0.1561
F7 F 0.2048 0.5972 0.5328
F8 F 0.2256 0.9676 0.9045
F9 F 0.3338 0.5652 0.3086
F10 F 0.3477 0.6397 0.7676
F11 F 0.4829 0.9552 0.6899
F12 F 0.5373 0.3067 0.1766
F13 F 0.5585 0.3286 0.6708
F14 F 0.5952 0.0912 0.3793
F15 F 0.6975 0.4486 0.9014
F16 F 0.7122 0.6722 0.1367
F17 F 0.7189 0.8606 0.9349
F18 F 0.7415 0.7011 0.5856
F19 F 0.8137 0.5113 0.3711
F20 F 0.9218 0.2058 0.0335
# Formation enthalpy at 0 K: -2.295 eV per atom
# Calculated volume: 13.74 Å³ per atom
# Size of the total moment: 0.000 μB/f.u.


# ReBiO3, relaxed, DFT PBE-GGA
data_ReBiO3
_chemical_formula_sum 'Re1 Bi1 O3'
_space_group_name_H-M_alt 'P m -3 m'
_space_group_IT_number 221
_space_group_name_Hall '-P 4 2 3'
_cell_length_a 4.0234
_cell_length_b 4.0234
_cell_length_c 4.0234
_cell_angle_alpha 90.00
_cell_angle_beta 90.00
_cell_angle_gamma 90.00
loop_
_atom_site_label
_atom_site_type_symbol
_atom_site_fract_x
_atom_site_fract_y
_atom_site_fract_z
Re1 Re 0.0000 0.0000 0.0000
Bi1 Bi 0.5000 0.5000 0.5000
O1 O 0.0000 0.0000 0.5000
# Formation enthalpy at 0 K: -1.211 eV per atom
# Calculated volume: 13.03 Å³ per atom
# Size of the total moment: 0.032 μB/f.u.


# TaTiC2, relaxed, DFT PBE-GGA
data_TaTiC2
_chemical_formula_sum 'Ta3 Ti3 C6'
_space_group_name_H-M_alt 'R -3 m'
_space_group_IT_number 166
_space_group_name_Hall '-R 3 2"'
_cell_length_a 3.1264
_cell_length_b 3.1264
_cell_length_c 15.2417
_cell_angle_alpha 90.00
_cell_angle_beta 90.00
_cell_angle_gamma 120.00
loop_
_atom_site_label
_atom_site_type_symbol
_atom_site_fract_x
_atom_site_fract_y
_atom_site_fract_z
Ta1 Ta 0.0000 0.0000 0.0000
Ti1 Ti 0.0000 0.0000 0.5000
C1 C 0.0000 0.0000 0.2488
# Formation enthalpy at 0 K: -0.750 eV per atom
# Calculated volume: 10.75 Å³ per atom


# Mg14VC, relaxed, DFT PBE-GGA
data_Mg14VC
_chemical_formula_sum 'Mg28 V2 C2'
_space_group_name_H-M_alt 'A m m 2'
_space_group_IT_number 38
_cell_length_a 9.7064
_cell_length_b 6.4549
_cell_length_c 10.8166
_cell_angle_alpha 90.00
_cell_angle_beta 90.00
_cell_angle_gamma 90.00
loop_
_space_group_symop_operation_xyz
'x,y,z'
'-x,-y,z'
'-x,y,z'
'x,-y,z'
'x,y+1/2,z+1/2'
'-x,-y+1/2,z+1/2'
'-x,y+1/2,z+1/2'
'x,-y+1/2,z+1/2'
loop_
_atom_site_label
_atom_site_type_symbol
_atom_site_fract_x
_atom_site_fract_y
_atom_site_fract_z
Mg1 Mg 0.0000 0.0000 0.0000
Mg2 Mg 0.0000 0.0000 0.4970
Mg3 Mg 0.0000 0.2444 0.2540
Mg4 Mg 0.2474 0.0000 0.6692
Mg5 Mg 0.2619 0.0000 0.1674
Mg6 Mg 0.2818 0.2361 0.9273
Mg7 Mg 0.5000 0.2438 0.2205
V1 V 0.5000 0.0000 0.4977
C1 C 0.5000 0.0000 0.0615
# Distance to the lowest polymorph of the same formula: 0 meV per atom
# Formation enthalpy at 0 K: 0.324 eV per atom
# Calculated volume: 21.18 Å³ per atom
# Size of the total moment: 3.738 μB/f.u.